MgBi GGA-PBE optimized geometry; energy = -2.781 eV/atom; calculated formation energy = -0.036 eV/atom; space-group type = No. 225
1.0
-1.4632 -1.0376 3.9365
-2.6481 2.6973 2.1036
-4.1603 -1.0479 0.5543
Mg Bi
1 1
Direct
0.5000 0.5000 0.5000
0.0000 0.0000 0.0000